Entry 1:
The following is a GGA-PBE calculation of a relaxed K2GdB5H20 crystal, from the Materials Project.

Calculated values
DFT total energy: -4.50 eV/atom
Calculated volume: 1265.6 Å³ per cell
Formation energy from the elements: -434 meV/atom
M_tot: 28.0 μB/cell

Cell and atoms, written as extended XYZ:
```
112
Lattice="-8.521 0.000 2.255 0.041 0.000 -11.827 0.000 -12.570 0.000" Properties=species:S:1:pos:R:3 pbc="T T T"
H -7.077 -6.149 -0.118
H -4.140 -2.129 -4.144
H -2.960 -6.133 -0.976
H -6.762 -10.818 -8.598
H -0.042 -3.142 -11.250
H -8.152 -10.426 -3.410
H -2.302 -11.232 -4.294
H -3.625 -4.314 -1.507
H -0.822 -12.398 -3.534
H -6.178 -1.338 -5.278
H -1.187 -3.142 -7.666
H -4.855 -10.599 -8.065
H -8.511 -10.416 -0.081
H -2.669 -9.427 -5.851
H -4.340 -8.414 -5.428
H -0.822 -6.457 -3.534
H -6.868 -3.142 -7.832
H -1.871 -8.108 -10.449
H 0.030 -2.154 -9.491
H -1.719 -4.533 -0.975
H -4.890 -2.147 -9.469
H -5.292 -9.427 0.167
H -0.328 -2.144 -6.162
H -8.438 -9.427 1.678
H -6.609 -1.823 0.877
H -4.855 -8.255 -8.065
H -3.109 -4.738 0.426
H -4.088 -3.142 -7.908
H -7.077 -0.136 -0.118
H -3.109 -1.547 0.426
H -3.426 -9.427 -3.961
H -6.414 -9.427 -3.699
H -2.642 -0.518 -4.057
H -3.625 -1.970 -1.507
H -5.371 -7.832 -9.998
H -2.960 -0.152 -0.976
H -7.308 -4.342 -1.014
H -1.403 -6.421 -9.455
H -5.838 -6.802 -5.516
H -3.188 -3.142 -9.739
H -1.719 -1.752 -0.975
H -7.659 -6.113 -6.039
H -2.980 -7.462 -8.914
H -7.293 -9.427 -1.907
H -6.609 -4.462 0.877
H -8.152 -8.429 -3.410
H -3.591 -10.423 -0.103
H -5.521 -12.418 -8.597
H -2.066 -3.142 -5.874
H -2.642 -5.767 -4.057
H -5.521 -6.436 -8.597
H -1.612 -9.427 -1.740
H -6.178 -4.947 -5.278
H 0.030 -4.131 -9.491
H -5.812 -3.142 -3.721
H -1.172 -8.228 -8.559
H -5.371 -11.023 -9.998
H -8.511 -8.439 -0.081
H -1.329 -12.500 -5.486
H -3.591 -8.431 -0.103
H -5.838 -12.052 -5.516
H -1.871 -10.746 -10.449
H -4.140 -4.156 -4.144
H -4.340 -10.441 -5.428
H -7.152 -0.070 -4.087
H -0.328 -4.141 -6.162
H -5.054 -3.142 -5.611
H -1.403 -12.434 -9.455
H -4.890 -4.138 -9.469
H -7.152 -6.215 -4.087
H -1.172 -10.626 -8.559
H -6.762 -8.037 -8.598
H -5.501 -1.178 -0.658
H -7.308 -1.943 -1.014
H -7.659 -0.172 -6.039
H -4.393 -9.427 -1.665
H -1.329 -6.355 -5.486
H -2.302 -7.623 -4.294
H -2.980 -11.392 -8.914
H -5.501 -5.107 -0.658
B -3.715 -9.427 -5.186
B -7.472 -9.427 -3.126
B -6.660 -1.268 -0.237
B -0.374 -9.427 -1.690
B -5.632 -7.629 -8.807
B -1.008 -3.142 -6.446
B -4.234 -9.427 -0.462
B -1.821 -7.553 -9.336
B -6.660 -5.017 -0.237
B -2.848 -4.941 -0.765
B -6.754 -0.251 -5.227
B -1.726 -12.319 -4.345
B -6.754 -6.034 -5.227
B -1.726 -6.536 -4.345
B -5.632 -11.226 -8.807
B -8.106 -3.142 -7.882
B -1.821 -11.302 -9.336
B -4.246 -3.142 -9.110
B -2.848 -1.344 -0.765
B -4.766 -3.142 -4.387
K 0.000 0.000 0.000
K 0.000 -6.285 0.000
K -4.917 -6.870 -2.759
K -3.564 -0.585 -6.813
K -1.511 -3.142 -3.273
K -4.917 -11.985 -2.759
K -6.970 -9.427 -6.299
K -3.564 -5.700 -6.813
Gd -4.765 -3.142 0.236
Gd -3.715 -9.427 -9.809
Gd -7.378 -3.142 -5.461
Gd -1.103 -9.427 -4.111
```



Entry 2:
The following is a GGA-PBE calculation of a relaxed K3GdB6H24 crystal, from the Materials Project.

Calculated values
DFT total energy: -4.40 eV/atom
Calculated volume: 818.9 Å³ per cell
Formation energy from the elements: -442 meV/atom
M_tot: 14.0 μB/cell

Cell and atoms, written as extended XYZ:
```
68
Lattice="7.437 0.000 0.144 0.000 8.689 0.000 0.238 0.000 12.677" Properties=species:S:1:pos:R:3 pbc="T T T"
H 2.207 6.112 6.475
H 2.721 2.397 5.529
H 5.855 4.566 7.577
H 6.559 1.948 11.940
H 4.517 1.840 11.970
H 1.866 6.447 4.521
H 2.018 8.468 1.167
H 1.406 7.930 9.659
H 0.467 8.383 3.526
H 6.076 7.550 3.862
H 3.758 6.357 5.185
H 5.006 5.104 3.393
H 3.158 6.850 0.851
H 6.821 7.806 2.096
H 6.269 0.759 3.162
H 1.800 3.315 7.041
H 1.193 3.551 0.701
H 2.669 3.585 9.428
H 1.971 2.103 1.890
H 5.875 5.374 5.780
H 6.995 6.184 7.261
H 3.370 4.038 2.885
H 1.116 6.741 0.881
H 6.482 5.138 12.120
H 0.854 0.883 10.725
H 1.868 1.767 12.613
H 0.680 2.505 5.559
H 5.704 6.586 10.931
H 7.208 0.306 9.295
H 7.595 6.677 11.596
H 4.953 6.293 7.292
H 5.657 0.221 11.654
H 5.030 0.794 7.111
H 1.820 4.123 5.244
H 2.645 7.896 5.710
H 5.199 3.205 2.693
H 2.275 7.660 12.046
H 1.599 1.139 8.959
H 5.807 6.922 0.208
H 5.808 2.242 8.300
H 5.399 1.029 0.774
H 4.304 4.651 9.936
H 4.454 3.461 4.459
H 3.221 5.228 8.362
H 2.476 5.484 10.128
H 0.079 2.012 1.225
H 3.917 2.332 7.636
H 5.468 2.577 6.346
Gd 0.000 0.000 0.000
Gd 3.837 4.345 6.410
B 1.233 2.353 0.951
B 4.502 3.990 3.336
B 5.958 5.640 6.986
B 2.120 7.394 0.576
B 3.173 4.699 9.485
B 2.604 6.697 5.460
B 6.442 6.336 11.870
B 5.555 1.296 12.245
B 0.902 0.354 9.602
B 6.773 8.335 3.219
B 5.070 1.992 7.361
B 1.717 3.049 5.834
K 3.719 4.345 0.072
K 4.131 0.240 9.610
K 7.382 4.585 9.621
K 3.544 8.449 3.211
K 0.293 4.104 3.200
K 0.119 0.000 6.338
```



Entry 3:
The following is a GGA-PBE calculation of a relaxed GdB4Ir4 crystal, from the Materials Project.

Calculated values
DFT total energy: -9.03 eV/atom
Calculated volume: 234.6 Å³ per cell
Formation energy from the elements: -568 meV/atom
M_tot: 14.0 μB/cell

Cell and atoms, written as extended XYZ:
```
18
Lattice="0.000 0.000 3.986 7.673 0.000 0.000 0.000 7.673 0.000" Properties=species:S:1:pos:R:3 pbc="T T T"
Ir 0.691 6.590 0.542
Ir 4.527 2.754 3.444
Ir 6.982 1.083 3.444
Ir 6.590 3.146 1.451
Ir 4.919 0.691 1.451
Ir 2.754 6.982 2.535
Ir 3.146 4.919 0.542
Ir 1.083 4.527 2.535
B 4.538 3.613 1.442
B 3.613 6.971 0.551
B 4.059 0.702 3.435
B 0.223 4.538 0.551
B 6.971 0.223 1.442
B 0.702 7.449 2.543
B 7.449 3.134 3.435
B 3.134 4.059 2.543
Gd 1.918 1.918 0.996
Gd 5.754 5.754 2.989
```



Entry 4:
The following is a GGA-PBE calculation of a relaxed La4GdSc15B20O60 crystal, from the Materials Project.

Calculated values
DFT total energy: -8.65 eV/atom
Calculated volume: 1137.8 Å³ per cell
Formation energy from the elements: -3468 meV/atom
M_tot: 7.0 μB/cell

Cell and atoms, written as extended XYZ:
```
100
Lattice="4.953 6.072 0.000 -4.953 6.072 0.000 0.000 0.992 18.919" Properties=species:S:1:pos:R:3 pbc="T T T"
B 0.490 10.128 7.576
B 0.000 4.037 7.569
B -2.734 6.265 11.713
B -2.724 4.842 14.756
B 0.000 2.008 15.135
B -2.734 6.870 7.206
B -2.724 8.294 4.163
B 2.229 5.246 15.513
B 2.244 5.866 10.965
B -4.457 6.072 0.000
B 0.490 3.007 11.343
B 2.229 3.826 18.540
B 0.495 5.056 3.784
B 0.000 11.128 3.784
B 2.229 9.310 0.379
B 2.244 7.269 7.954
B 2.229 7.889 3.406
B 0.000 6.072 0.000
B 0.000 9.098 11.350
B 0.495 8.079 15.135
O -2.019 7.445 8.248
O -0.695 10.561 2.722
O 1.155 3.481 12.460
O 1.124 10.621 8.709
O 2.949 5.904 16.492
O -0.894 5.056 3.784
O -2.003 8.953 5.140
O -2.003 4.183 13.779
O 2.919 6.711 6.877
O -0.697 8.529 10.291
O 4.260 5.624 4.847
O 0.852 11.039 14.730
O -3.562 5.055 3.784
O -4.117 6.148 11.699
O 0.865 7.162 7.980
O 2.924 8.455 4.468
O 0.852 9.186 0.402
O -2.019 5.690 10.671
O 1.124 2.515 10.210
O -2.020 6.220 6.214
O -0.694 3.473 6.505
O 1.150 7.615 14.010
O 0.852 8.014 3.383
O 2.919 6.425 12.042
O 1.150 5.520 4.909
O 1.151 4.592 2.659
O -0.695 2.574 16.197
O -0.899 10.103 7.564
O -0.894 8.079 15.135
O -2.030 3.663 18.237
O -0.899 3.032 11.355
O 0.865 5.974 10.939
O -2.030 9.472 0.682
O -2.030 5.408 15.818
O 4.260 7.512 14.072
O 4.059 6.072 0.000
O -0.694 9.662 12.414
O 0.852 5.121 15.536
O 1.390 6.072 0.000
O -0.695 6.638 1.062
O 2.949 7.231 2.427
O 1.155 9.654 6.459
O 1.390 4.040 7.571
O 1.151 8.544 16.260
O 0.852 3.950 18.517
O -2.003 3.897 1.357
O 1.390 9.095 11.348
O 0.852 2.096 4.189
O -2.020 6.916 12.705
O -0.695 6.497 17.857
O 2.924 4.680 14.451
O 2.994 7.906 8.935
O -4.117 6.987 7.220
O -3.801 6.600 17.794
O -0.697 4.606 8.628
O -2.003 9.238 17.562
O -3.562 8.080 15.135
O -2.030 7.727 3.101
O 2.994 5.230 9.984
O -3.801 6.536 1.125
Sc -0.474 11.626 13.233
Sc -2.240 3.724 9.820
Sc 2.714 5.370 1.528
Sc -0.476 6.568 9.460
Sc -2.239 8.781 13.606
Sc -2.238 5.758 2.256
Sc -0.474 1.509 5.686
Sc 2.714 7.766 17.391
Sc -2.239 4.354 5.313
Sc -2.238 7.377 16.663
Sc -2.240 9.411 9.099
Sc -0.476 8.600 1.892
Sc 2.716 8.393 12.878
Sc 2.716 4.743 6.041
Sc -0.476 4.536 17.027
La 0.000 2.528 1.892
La 0.000 5.550 13.238
La 0.000 7.585 5.681
La 0.000 10.608 17.027
Gd 4.952 6.568 9.460
```



Entry 5:
The following is a GGA-PBE calculation of a relaxed Li6GdB3O9 crystal, from the Materials Project.

Calculated values
DFT total energy: -7.22 eV/atom
Calculated volume: 790.3 Å³ per cell
Formation energy from the elements: -2808 meV/atom
M_tot: 28.0 μB/cell

Cell and atoms, written as extended XYZ:
```
76
Lattice="16.605 0.000 0.000 0.000 6.763 0.000 0.000 1.949 7.038" Properties=species:S:1:pos:R:3 pbc="T T T"
Li 3.416 6.411 2.012
Li 8.885 0.973 2.159
Li 7.804 5.415 3.191
Li 9.168 5.622 6.061
Li 3.391 4.157 3.947
Li 7.437 3.090 0.977
Li 8.241 5.713 0.504
Li 8.364 2.998 6.535
Li 0.499 2.034 3.191
Li 11.718 5.682 5.027
Li 16.022 4.354 2.159
Li 11.694 1.173 3.091
Li 8.801 3.297 3.848
Li 16.106 6.678 3.848
Li 4.911 7.539 3.947
Li 4.887 3.030 2.012
Li 13.214 4.554 3.091
Li 0.583 4.358 4.880
Li 13.189 2.301 5.027
Li 7.720 7.739 4.880
Li 16.544 6.380 6.535
Li 0.866 6.471 0.977
Li 0.061 2.332 0.504
Li 15.739 2.240 6.061
O 5.031 2.973 4.054
O 15.391 4.817 6.174
O 7.089 0.513 0.864
O 13.727 0.186 0.029
O 1.457 3.695 3.262
O 3.271 6.354 4.054
O 0.882 2.973 6.434
O 13.334 2.358 2.984
O 7.171 2.958 5.082
O 13.542 4.802 1.049
O 11.365 1.421 1.049
O 11.180 3.567 0.029
O 3.063 3.910 5.989
O 1.132 6.339 5.082
O 7.420 6.354 6.434
O 5.425 5.145 7.010
O 5.240 7.291 5.989
O 9.185 2.357 0.604
O 15.316 1.698 4.257
O 1.289 7.013 2.781
O 6.845 7.077 3.262
O 4.962 0.887 1.847
O 15.722 5.739 0.604
O 11.643 7.825 5.191
O 13.264 4.444 5.191
O 3.341 4.268 1.847
O 9.760 1.635 3.776
O 7.013 3.632 2.781
O 2.878 8.526 7.010
O 15.147 5.017 3.776
O 9.516 8.199 6.174
O 1.214 3.894 0.864
O 9.434 5.754 1.956
O 11.573 5.739 2.984
O 15.473 2.373 1.956
O 9.592 5.080 4.257
B 10.203 5.515 3.099
B 1.991 3.939 2.024
B 14.613 4.773 5.014
B 1.901 6.578 3.939
B 6.402 3.196 3.939
B 14.362 5.830 0.582
B 2.243 2.882 6.456
B 6.059 6.263 6.456
B 14.704 2.134 3.099
B 6.311 7.320 2.024
B 10.294 1.392 5.014
B 10.546 2.449 0.582
Gd 11.451 5.885 0.560
Gd 13.456 2.504 0.560
Gd 3.149 6.208 6.478
Gd 5.154 2.827 6.478
```



Entry 6:
The following is a GGA-PBE calculation of a relaxed Li3GdB2O6 crystal, from the Materials Project.

Calculated values
DFT total energy: -7.85 eV/atom
Calculated volume: 519.6 Å³ per cell
Formation energy from the elements: -2960 meV/atom

Cell and atoms, written as extended XYZ:
```
48
Lattice="6.500 0.000 0.000 0.000 8.807 0.000 0.000 4.605 9.077" Properties=species:S:1:pos:R:3 pbc="T T T"
O 4.605 4.595 1.938
O 1.895 8.818 7.139
O 0.393 6.081 0.477
O 3.643 5.029 4.061
O 1.858 2.460 4.662
O 2.857 8.384 5.016
O 5.328 1.636 2.199
O 6.079 9.044 3.984
O 4.642 10.953 4.415
O 2.078 9.474 2.340
O 6.107 7.331 8.600
O 1.392 0.157 0.124
O 4.615 6.876 2.825
O 1.885 6.536 6.251
O 1.355 6.515 2.601
O 3.671 11.347 8.522
O 2.829 2.066 0.555
O 0.421 4.368 5.093
O 1.172 11.776 6.878
O 4.422 3.939 6.737
O 1.365 4.233 1.713
O 5.108 13.255 8.953
O 5.145 6.897 6.476
O 5.135 9.179 7.364
Li 4.835 7.728 4.736
Li 1.665 5.684 4.341
Li 1.825 11.781 8.707
Li 4.915 5.426 0.197
Li 6.099 3.368 1.509
Li 0.402 10.044 7.568
Li 5.075 3.934 4.908
Li 4.675 1.631 0.369
Li 1.425 9.479 4.169
Li 2.849 7.742 3.030
Li 1.585 7.987 8.879
Li 3.652 5.671 6.047
B 2.192 7.880 6.148
B 5.381 10.154 3.562
B 1.059 5.577 1.610
B 4.370 12.457 8.100
B 4.309 5.533 2.929
B 5.442 7.835 7.467
B 2.130 0.956 0.976
B 1.120 3.258 5.515
Gd 0.180 5.293 7.262
Gd 3.070 2.990 2.724
Gd 3.430 10.422 6.353
Gd 6.320 8.120 1.815
```